Computed, not measured: a relaxed structure of Fe2N at the PBE-GGA level of DFT.

POSCAR file:
```
Fe2N
1.0
0.975 1.622 2.100
-2.705 -0.821 -0.013
1.032 -3.434 2.173
Fe N
2 1
Cartesian
-1.225 -0.852 1.227
0.526 -1.781 3.034
0.516 -1.717 1.087
```

## Properties
Space-group type   P-3m1 (164)
Size of the total moment   3.92 μB/cell
Mass density   7.2 g/cm3
E_form   -38 meV per atom

Computed, not measured: a relaxed structure of FeN2 at the PBE-GGA level of DFT.

POSCAR file:
```
FeN2
1.0
-0.778 1.694 1.779
-3.442 0.261 -1.753
-1.594 -3.475 2.611
N Fe
4 2
Cartesian
-1.429 -0.232 -0.404
-4.034 -0.333 0.420
-1.780 -1.186 2.217
-3.606 -2.981 1.261
-2.518 -1.607 0.429
-0.389 0.847 0.890
```

## Properties
Space-group type   Pnnm (58)
Size of the total moment   0.00 μB/cell
Mass density   6.0 g/cm3
E_form   -62 meV per atom

Computed, not measured: a relaxed structure of Fe2N at the PBE-GGA level of DFT.

POSCAR file:
```
Fe2N
1.0
2.376 -4.116 0.000
2.376 4.116 0.000
0.000 0.000 4.321
Fe N
6 3
Cartesian
1.569 0.000 3.232
3.183 0.000 1.089
1.591 2.756 3.232
1.591 -2.756 3.232
0.785 1.359 1.089
0.785 -1.359 1.089
0.000 0.000 0.000
2.376 -1.372 2.160
2.376 1.372 2.160
```

## Properties
Space-group type   P-31m (162)
Size of the total moment   8.99 μB/cell
Mass density   7.4 g/cm3
E_form   -150 meV per atom

Computed, not measured: a relaxed structure of FeN at the PBE-GGA level of DFT.

POSCAR file:
```
FeN
1.0
2.195 -1.827 -0.411
-0.487 -2.842 -0.094
0.243 -1.424 -2.497
N Fe
1 1
Cartesian
0.976 -3.047 -1.501
0.000 0.000 0.000
```

## Properties
Space-group type   Fm-3m (225)
Size of the total moment   2.35 μB/cell
Mass density   6.8 g/cm3
E_form   77 meV per atom